DFT (PBE) results for Sm2UTe5 after structural relaxation.

Computed properties:
Its MP2020-corrected energy is -5.91 eV/atom. For the formation energy, the calculation gives -1.358 eV/atom.

a = 4.351 Å, b = 4.370 Å, c = 26.736 Å
α = 90.00°, β = 90.00°, γ = 90.00°
Space group Pmm2 (No. 25)
Unique sites:
Sm 0.000 0.000 0.000
Sm 0.000 0.000 0.330
Sm 0.000 0.000 0.663
Sm 0.500 0.500 0.156
U 0.500 0.500 0.488
U 0.500 0.500 0.820
Te 0.000 0.000 0.122
Te 0.000 0.000 0.456
Te 0.000 0.000 0.787
Te 0.000 0.500 0.908
Te 0.500 0.000 0.243
Te 0.500 0.000 0.576
Te 0.500 0.000 0.908
Te 0.500 0.500 0.034
Te 0.500 0.500 0.365
Te 0.500 0.500 0.698

---

DFT (PBE) results for SmTh after structural relaxation.

Computed properties:
For the formation energy, the calculation gives 0.069 eV/atom. The value obtained for the excess energy over the best structure of this formula in the dataset is 36 meV per atom. For the total magnetization, the calculation gives 0.1 Bohr magnetons per cell.

a = 3.5737 Å, b = 3.5737 Å, c = 5.9737 Å
α = 90.00°, β = 90.00°, γ = 120.00°
Space group P-6m2 (No. 187)
Unique sites:
Sm 0.0000 0.0000 0.0000
Th 0.6667 0.3333 0.5000

---

DFT (PBE) results for SmTh after structural relaxation.

Computed properties:
For the formation energy, the calculation gives 0.034 eV/atom. The value obtained for the excess energy over the best structure of this formula in the dataset is 0 meV per atom.

a = 3.5731 Å, b = 3.5731 Å, c = 17.7477 Å
α = 90.00°, β = 90.00°, γ = 120.00°
Space group R-3m (No. 166, hexagonal axes)
Unique sites:
Sm 0.0000 0.0000 0.0000
Th 0.0000 0.0000 0.5000